(1)
The following is a r²SCAN calculation of Tl4Bi2S5 after structural relaxation, from the Materials Project database.

Results
V in Å³/cell: 1238.1
Space-group type: Pnma (62)
Magnetization in μB per formula unit: 0.00
Final energy in eV/atom: -34.10

Geometry as POSCAR:
```
Tl4Bi2S5
1.0
4.1138 0.0000 0.0000
0.0000 17.1045 0.0000
0.0000 0.0000 17.5957
Tl S Bi
16 20 8
direct
0.7500 0.8151 0.7348 Tl
0.2500 0.1833 0.5694 Tl
0.2500 0.1922 0.9196 Tl
0.2500 0.6922 0.5804 Tl
0.2500 0.1849 0.2652 Tl
0.2500 0.4278 0.9171 Tl
0.7500 0.3167 0.0694 Tl
0.7500 0.3151 0.7652 Tl
0.2500 0.9278 0.5829 Tl
0.7500 0.5722 0.0829 Tl
0.7500 0.0722 0.4171 Tl
0.7500 0.8078 0.0804 Tl
0.2500 0.6849 0.2348 Tl
0.7500 0.8167 0.4306 Tl
0.2500 0.6833 0.9306 Tl
0.7500 0.3078 0.4196 Tl
0.7500 0.0453 0.2418 S
0.7500 0.0666 0.9183 S
0.7500 0.5666 0.5817 S
0.7500 0.8352 0.9022 S
0.2500 0.6808 0.7663 S
0.7500 0.3192 0.2337 S
0.2500 0.4547 0.7418 S
0.2500 0.1648 0.0978 S
0.7500 0.8192 0.2663 S
0.2500 0.9334 0.0817 S
0.7500 0.5480 0.9069 S
0.7500 0.5453 0.2582 S
0.7500 0.3352 0.5978 S
0.2500 0.1808 0.7337 S
0.7500 0.0480 0.5931 S
0.2500 0.4520 0.0931 S
0.2500 0.4334 0.4183 S
0.2500 0.9520 0.4069 S
0.2500 0.9547 0.7582 S
0.2500 0.6648 0.4022 S
0.7500 0.5700 0.7569 Bi
0.2500 0.4417 0.5886 Bi
0.2500 0.9300 0.2569 Bi
0.7500 0.5583 0.4114 Bi
0.2500 0.4300 0.2431 Bi
0.7500 0.0583 0.0886 Bi
0.7500 0.0700 0.7431 Bi
0.2500 0.9417 0.9114 Bi
```

=====

(2)
The following is a r²SCAN calculation of Er2MgNi2 after structural relaxation, from the Materials Project database.

Results
V in Å³/cell: 193.0
Space-group type: P4/mbm (127)
Magnetization in μB per formula unit: 0.00
Final energy in eV/atom: -19.56

Geometry as POSCAR:
```
Er2MgNi2
1.0
7.2567 0.0000 0.0000
0.0000 7.2567 0.0000
0.0000 0.0000 3.6648
Mg Ni Er
2 4 4
direct
0.0000 0.0000 0.0000 Mg
0.5000 0.5000 0.0000 Mg
0.1198 0.6198 0.0000 Ni
0.6198 0.8802 0.0000 Ni
0.3802 0.1198 0.0000 Ni
0.8802 0.3802 0.0000 Ni
0.8285 0.6715 0.5000 Er
0.1715 0.3285 0.5000 Er
0.6715 0.1715 0.5000 Er
0.3285 0.8285 0.5000 Er
```

=====

(3)
The following is a r²SCAN calculation of Sr5Sn3 after structural relaxation, from the Materials Project database.

Results
V in Å³/cell: 610.1
Space-group type: C2/c (15)
Magnetization in μB per formula unit: 0.00
Final energy in eV/atom: -19.48

Geometry as POSCAR:
```
Sr5Sn3
1.0
-7.0115 3.9130 3.0934
-3.9023 -0.9800 -7.6062
2.4836 -8.7453 4.7224
Sr Sn
10 6
direct
0.0000 0.0000 0.0000 Sr
0.4617 0.3184 0.2799 Sr
0.9619 0.4619 0.2802 Sr
0.5000 0.5000 0.0000 Sr
0.3183 0.8184 0.2800 Sr
0.8183 0.9620 0.2802 Sr
0.0381 0.5381 0.7198 Sr
0.6817 0.1816 0.7200 Sr
0.1817 0.0380 0.7198 Sr
0.5383 0.6816 0.7201 Sr
0.8802 0.6201 0.0003 Sn
0.6201 0.1201 0.0003 Sn
0.1198 0.3799 0.9997 Sn
0.3799 0.8799 0.9997 Sn
0.2503 0.2500 0.5000 Sn
0.7497 0.7500 0.5000 Sn
```

=====

(4)
The following is a r²SCAN calculation of In after structural relaxation, from the Materials Project database.

Results
ΔE to the lowest computed polymorph in meV per atom: 7
V in Å³/cell: 79.3
Space-group type: R-3m (166)
Magnetization in μB per formula unit: 0.00
Final energy in eV/atom: -22.57

Geometry as POSCAR:
```
In
1.0
-1.6696 -2.8919 0.0000
3.3393 0.0000 0.0000
1.6696 0.9640 8.2075
In
3
direct
0.2220 0.7780 0.6660 In
0.7780 0.2220 0.3340 In
0.0000 0.0000 0.0000 In
```

=====

What did the second record say?
The following is a r²SCAN calculation of Er2MgNi2 after structural relaxation, from the Materials Project database.

Results
V in Å³/cell: 193.0
Space-group type: P4/mbm (127)
Magnetization in μB per formula unit: 0.00
Final energy in eV/atom: -19.56

Geometry as POSCAR:
```
Er2MgNi2
1.0
7.2567 0.0000 0.0000
0.0000 7.2567 0.0000
0.0000 0.0000 3.6648
Mg Ni Er
2 4 4
direct
0.0000 0.0000 0.0000 Mg
0.5000 0.5000 0.0000 Mg
0.1198 0.6198 0.0000 Ni
0.6198 0.8802 0.0000 Ni
0.3802 0.1198 0.0000 Ni
0.8802 0.3802 0.0000 Ni
0.8285 0.6715 0.5000 Er
0.1715 0.3285 0.5000 Er
0.6715 0.1715 0.5000 Er
0.3285 0.8285 0.5000 Er
```